1.
Computed, not measured: a geometry-optimized NaBF4 structure at the GGA-PBE level of DFT.

Energy with MP2020 corrections in hartree per atom: -0.2147
Density in g cm⁻³: 2.41
Final energy in eV per atom: -5.5339
Energy of formation from the pure elements in meV/atom: -3231.9

Structure (POSCAR):
```
NaBF4
1.0
-2.557 3.850 -0.757
0.938 -0.809 -4.517
-5.703 -3.884 -0.489
Na B F
2 2 8
direct
0.348 0.348 0.250 Na
0.652 0.652 0.750 Na
0.843 0.843 0.250 B
0.157 0.157 0.750 B
0.710 0.710 0.416 F
0.290 0.290 0.916 F
0.710 0.710 0.084 F
0.290 0.290 0.584 F
0.861 0.192 0.750 F
0.139 0.808 0.250 F
0.192 0.861 0.750 F
0.808 0.139 0.250 F
```

***

2.
Computed, not measured: a geometry-optimized K2WS4 structure at the GGA-PBE level of DFT.

Energy with MP2020 corrections in hartree per atom: -0.2125
Density in g cm⁻³: 2.97
Final energy in eV per atom: -5.4944
Energy of formation from the pure elements in meV/atom: -1249.8

Structure (POSCAR):
```
K2WS4
1.0
0.000 -7.184 0.000
-9.609 0.000 0.000
0.000 0.000 -12.636
K W S
8 4 16
direct
0.750 0.513 0.310 K
0.250 0.487 0.690 K
0.250 0.987 0.810 K
0.750 0.013 0.190 K
0.750 0.829 0.586 K
0.250 0.171 0.414 K
0.250 0.671 0.086 K
0.750 0.329 0.914 K
0.750 0.769 0.922 W
0.250 0.231 0.078 W
0.250 0.731 0.422 W
0.750 0.269 0.578 W
0.998 0.688 0.840 S
0.002 0.312 0.160 S
0.002 0.812 0.340 S
0.498 0.312 0.160 S
0.998 0.188 0.660 S
0.502 0.688 0.840 S
0.502 0.188 0.660 S
0.498 0.812 0.340 S
0.750 0.997 0.916 S
0.250 0.003 0.084 S
0.250 0.503 0.416 S
0.750 0.497 0.584 S
0.750 0.193 0.413 S
0.250 0.807 0.587 S
0.250 0.307 0.913 S
0.750 0.693 0.087 S
```

***

3.
Computed, not measured: a geometry-optimized MgH4S2O9 structure at the GGA-PBE level of DFT.

Excess energy over the best structure of this formula in the dataset in meV/atom: 200
Energy with MP2020 corrections in hartree per atom: -0.2162
Total magnetization in μB per cell: 0.00
Density in g cm⁻³: 1.89
Final energy in eV per atom: -5.4979
Energy of formation from the pure elements in meV/atom: -1635.9

Structure (POSCAR):
```
MgH4S2O9
1.0
5.177 0.000 0.000
0.000 9.206 0.000
0.000 5.090 17.482
Mg H S O
4 16 8 36
direct
0.263 0.224 0.015 Mg
0.763 0.776 0.485 Mg
0.737 0.776 0.985 Mg
0.237 0.224 0.515 Mg
0.318 0.865 0.725 H
0.818 0.135 0.775 H
0.682 0.135 0.275 H
0.182 0.865 0.225 H
0.147 0.639 0.924 H
0.647 0.361 0.576 H
0.853 0.361 0.076 H
0.353 0.639 0.424 H
0.944 0.878 0.705 H
0.444 0.122 0.795 H
0.056 0.122 0.295 H
0.556 0.878 0.205 H
0.145 0.746 0.785 H
0.645 0.254 0.715 H
0.855 0.254 0.215 H
0.355 0.746 0.285 H
0.240 0.989 0.899 S
0.740 0.011 0.601 S
0.760 0.011 0.101 S
0.260 0.989 0.399 S
0.746 0.412 0.911 S
0.246 0.588 0.589 S
0.254 0.588 0.089 S
0.754 0.412 0.411 S
0.335 0.801 0.230 O
0.835 0.199 0.270 O
0.665 0.199 0.770 O
0.165 0.801 0.730 O
0.756 0.934 0.688 O
0.256 0.066 0.812 O
0.244 0.066 0.312 O
0.744 0.934 0.188 O
0.028 0.064 0.089 O
0.528 0.936 0.411 O
0.972 0.936 0.911 O
0.472 0.064 0.589 O
0.573 0.137 0.083 O
0.073 0.863 0.417 O
0.427 0.863 0.917 O
0.927 0.137 0.583 O
0.304 0.102 0.939 O
0.804 0.898 0.561 O
0.696 0.898 0.061 O
0.196 0.102 0.439 O
0.063 0.636 0.875 O
0.563 0.364 0.625 O
0.937 0.364 0.125 O
0.437 0.636 0.375 O
0.794 0.615 0.899 O
0.294 0.385 0.601 O
0.206 0.385 0.101 O
0.706 0.615 0.399 O
0.481 0.401 0.943 O
0.981 0.599 0.557 O
0.519 0.599 0.057 O
0.019 0.401 0.443 O
0.933 0.344 0.974 O
0.433 0.656 0.526 O
0.067 0.656 0.026 O
0.567 0.344 0.474 O
```

***

4.
Computed, not measured: a geometry-optimized ZrNbCN structure at the GGA-PBE level of DFT.

Energy with MP2020 corrections in hartree per atom: -0.3729
Total magnetization in μB per cell: 0.00
Density in g cm⁻³: 7.29
Final energy in eV per atom: -10.0572
Energy of formation from the pure elements in meV/atom: -1093.9

Structure (POSCAR):
```
ZrNbCN
1.0
5.384 -1.614 0.000
5.384 1.614 0.000
4.900 0.000 2.753
Zr Nb C N
1 1 1 1
direct
0.252 0.252 0.252 Zr
0.747 0.747 0.747 Nb
0.003 0.003 0.003 C
0.498 0.498 0.498 N
```

***

5.
Computed, not measured: a geometry-optimized GaS structure at the GGA-PBE level of DFT.

Energy with MP2020 corrections in hartree per atom: -0.1648
Density in g cm⁻³: 3.42
Final energy in eV per atom: -4.2337
Energy of formation from the pure elements in meV/atom: -903.0

Structure (POSCAR):
```
GaS
1.0
0.764 3.490 0.603
-2.475 -0.910 -2.485
-12.434 0.622 12.160
Ga S
4 4
direct
0.000 0.000 0.179 Ga
0.000 0.000 0.679 Ga
0.000 0.000 0.321 Ga
0.000 0.000 0.821 Ga
0.667 0.333 0.117 S
0.333 0.667 0.617 S
0.667 0.333 0.383 S
0.333 0.667 0.883 S
```

***

6.
Computed, not measured: a geometry-optimized Li9La12Sn8O48 structure at the GGA-PBE level of DFT.

Energy with MP2020 corrections in hartree per atom: -0.2542
Total magnetization in μB per cell: 19.00
Density in g cm⁻³: 5.06
Final energy in eV per atom: -6.4902
Energy of formation from the pure elements in meV/atom: -2425.0

Structure (POSCAR):
```
Li9La12Sn8O48
1.0
7.906 -7.778 2.522
-10.464 -4.300 1.174
1.411 3.270 -10.802
Li La Sn O
9 12 8 48
direct
0.251 0.626 0.123 Li
0.503 0.128 0.877 Li
0.872 0.749 0.375 Li
0.374 0.497 0.625 Li
0.250 0.750 0.500 Li
0.002 0.125 0.375 Li
0.751 0.627 0.625 Li
0.373 0.998 0.123 Li
0.875 0.249 0.877 Li
0.998 0.498 0.500 La
0.750 0.750 0.000 La
0.998 0.626 0.874 La
0.752 0.124 0.126 La
0.879 0.500 0.131 La
0.369 0.748 0.869 La
0.250 0.250 0.000 La
0.502 0.002 0.500 La
0.252 0.121 0.622 La
0.500 0.631 0.378 La
0.374 0.248 0.372 La
0.876 0.002 0.628 La
0.128 0.869 0.749 Sn
0.120 0.379 0.251 Sn
0.625 0.374 0.750 Sn
0.624 0.875 0.250 Sn
0.125 0.375 0.749 Sn
0.131 0.880 0.259 Sn
0.626 0.376 0.251 Sn
0.621 0.872 0.741 Sn
0.218 0.499 0.668 O
0.831 0.550 0.332 O
0.922 0.751 0.218 O
0.533 0.704 0.782 O
0.005 0.835 0.052 O
0.960 0.414 0.669 O
0.744 0.291 0.331 O
0.783 0.953 0.948 O
0.657 0.280 0.082 O
0.095 0.677 0.126 O
0.198 0.575 0.918 O
0.551 0.969 0.874 O
0.035 0.251 0.832 O
0.419 0.203 0.168 O
0.333 0.002 0.283 O
0.719 0.050 0.717 O
0.249 0.905 0.455 O
0.288 0.334 0.831 O
0.503 0.458 0.169 O
0.450 0.794 0.545 O
0.592 0.471 0.418 O
0.154 0.078 0.375 O
0.053 0.174 0.582 O
0.703 0.780 0.625 O
0.031 0.905 0.583 O
0.425 0.343 0.623 O
0.323 0.449 0.417 O
0.720 0.802 0.377 O
0.249 0.467 0.170 O
0.296 0.078 0.830 O
0.501 0.169 0.719 O
0.450 0.782 0.281 O
0.586 0.256 0.547 O
0.165 0.217 0.170 O
0.047 0.995 0.830 O
0.709 0.040 0.453 O
0.220 0.846 0.924 O
0.826 0.408 0.879 O
0.922 0.297 0.076 O
0.529 0.947 0.121 O
0.998 0.281 0.330 O
0.950 0.667 0.670 O
0.749 0.581 0.784 O
0.797 0.965 0.216 O
0.666 0.497 0.955 O
0.095 0.550 0.344 O
0.206 0.751 0.656 O
0.542 0.712 0.045 O
```